No. 1
Computed, not measured: a geometry-optimized Li2VO2F structure at the PBE+U level of DFT.

Cell: 3.030 7.917 10.384 Å, 107.85 89.95 100.89°
Fractional coordinates of all 24 atoms:
Li: 0.591 0.165 0.130
Li: 0.918 0.842 0.137
Li: 0.924 0.857 0.615
Li: 0.558 0.123 0.594
Li: 0.058 0.133 0.375
Li: 0.427 0.860 0.896
Li: 0.436 0.867 0.398
Li: 0.069 0.152 0.870
V: 0.759 0.502 0.373
V: 0.753 0.499 0.883
V: 0.242 0.500 0.126
V: 0.234 0.477 0.611
O: 0.661 0.344 0.004
O: 0.682 0.346 0.503
O: 0.820 0.645 0.240
O: 0.000 0.999 0.499
O: 0.175 0.349 0.255
O: 0.197 0.372 0.763
O: 0.334 0.642 0.499
O: 0.317 0.657 0.996
F: 0.832 0.660 0.745
F: 0.995 0.999 0.001
F: 0.500 0.999 0.240
F: 0.493 0.996 0.763

Results
The value obtained for the total energy is -6.140 eV/atom. The value obtained for the polymorph energy (0 for the lowest one) is 102 meV per atom. Its formation energy from the elements is -2.611 eV per atom. The space group is P1 (1).

No. 2
Computed, not measured: a geometry-optimized Li2VO2F structure at the PBE+U level of DFT.

Cell: 5.174 5.174 9.496 Å, 79.85 79.85 109.87°
Fractional coordinates of all 24 atoms:
Li: 0.896 0.642 0.721
Li: 0.642 0.896 0.221
Li: 0.938 0.211 0.609
Li: 0.794 0.047 0.911
Li: 0.211 0.938 0.109
Li: 0.047 0.794 0.411
Li: 0.368 0.132 0.739
Li: 0.132 0.368 0.239
V: 0.287 0.537 0.919
V: 0.459 0.707 0.599
V: 0.537 0.287 0.419
V: 0.707 0.459 0.099
O: 0.612 0.852 0.753
O: 0.239 0.954 0.572
O: 0.686 0.464 0.573
O: 0.852 0.612 0.253
O: 0.131 0.390 0.756
O: 0.954 0.239 0.072
O: 0.464 0.686 0.073
O: 0.390 0.131 0.256
F: 0.531 0.285 0.926
F: 0.046 0.794 0.922
F: 0.285 0.531 0.426
F: 0.794 0.046 0.422

Results
The value obtained for the total energy is -6.139 eV/atom. The value obtained for the polymorph energy (0 for the lowest one) is 104 meV per atom. Its formation energy from the elements is -2.609 eV per atom. The space group is Cc (9).

No. 3
Computed, not measured: a geometry-optimized Li2VO2F structure at the PBE+U level of DFT.

Cell: 5.734 6.859 5.734 Å, 77.99 91.68 102.01°
Fractional coordinates of all 24 atoms:
Li: 0.167 0.667 0.833
Li: 0.667 0.667 0.333
Li: 0.667 0.667 0.833
Li: 0.167 0.667 0.333
Li: 0.997 0.994 0.003
Li: 0.497 0.994 0.503
Li: 0.836 0.340 0.163
Li: 0.337 0.340 0.664
V: 0.499 0.005 0.001
V: 0.835 0.329 0.665
V: 0.999 0.004 0.501
V: 0.335 0.329 0.165
O: 0.245 0.986 0.755
O: 0.745 0.986 0.255
O: 0.089 0.348 0.911
O: 0.589 0.348 0.411
O: 0.750 0.009 0.750
O: 0.250 0.010 0.250
O: 0.584 0.324 0.916
O: 0.083 0.323 0.417
F: 0.917 0.667 0.083
F: 0.417 0.667 0.583
F: 0.918 0.667 0.582
F: 0.416 0.667 0.084

Results
The value obtained for the total energy is -6.164 eV/atom. The value obtained for the polymorph energy (0 for the lowest one) is 78 meV per atom. Its formation energy from the elements is -2.634 eV per atom. The space group is C2/m (12).

Q: The lowest polymorph energy (0 for the lowest one) belongs to which entry?
A: number 3